The following is a PBE+U calculation of an optimized crystal structure of K5Mn2B2P5O21, from the Materials Project database.

Values from the calculation:
- ρ (kg/m3) = 2751
- calculated volume (Å³ per atom) = 14.10
- energy of formation from the pure elements (eV per atom) = -2.6339

Cell: 9.2115 14.7902 14.9179 Å, 103.70 90.00 90.00°
With the nearest neighbours (Å) after each atom.
Positions (direct):
K (0.4988, 0.5000, 0.9997)  6 O 2.74-2.85
K (0.0012, 0.0000, 0.4997)  6 O 2.74-2.85
K (0.3535, 0.3572, 0.5380)  4 O 2.55-2.84
K (0.1465, 0.8572, 0.0380)  4 O 2.55-2.84
K (0.6419, 0.6449, 0.4610)  5 O 2.57-2.85
K (0.8581, 0.1449, 0.9610)  5 O 2.57-2.85
K (0.0232, 0.6871, 0.7629)  4 O 2.61-2.89
K (0.4768, 0.1871, 0.2629)  4 O 2.61-2.89
K (0.9793, 0.3150, 0.2403)  4 O 2.60-2.85
K (0.5207, 0.8150, 0.7403)  4 O 2.60-2.85
K (0.3335, 0.1429, 0.6238)  7 O 2.66-2.84
K (0.1665, 0.6429, 0.1238)  7 O 2.66-2.84
K (0.6681, 0.8573, 0.3763)  7 O 2.63-2.85
K (0.8319, 0.3573, 0.8763)  7 O 2.63-2.85
K (0.5990, 0.5426, 0.6960)  4 O 2.72-3.00
K (0.9010, 0.0426, 0.1960)  4 O 2.72-3.00
K (0.3918, 0.4564, 0.3064)  4 O 2.71-2.97
K (0.1082, 0.9564, 0.8064)  4 O 2.71-2.97
K (0.9899, 0.5168, 0.5079)  4 O 2.66-2.81
K (0.5101, 0.0168, 0.0079)  4 O 2.66-2.81
Mn (0.7083, 0.2927, 0.6242)  4 O 1.93-2.01
Mn (0.7917, 0.7927, 0.1242)  4 O 1.93-2.01
Mn (0.2916, 0.7077, 0.3757)  4 O 1.93-2.01
Mn (0.2084, 0.2077, 0.8757)  4 O 1.93-2.01
Mn (0.1749, 0.5022, 0.8614)  4 O 1.94-1.99
Mn (0.3251, 0.0022, 0.3614)  4 O 1.94-1.99
Mn (0.8237, 0.4970, 0.1369)  4 O 1.94-2.01
Mn (0.6763, 0.9970, 0.6369)  4 O 1.94-2.01
B (0.0258, 0.2394, 0.5681)  4 O 1.44-1.52
B (0.4742, 0.7394, 0.0681)  4 O 1.44-1.52
B (0.9745, 0.7616, 0.4318)  4 O 1.44-1.51
B (0.5255, 0.2616, 0.9318)  4 O 1.44-1.51
B (0.8515, 0.2196, 0.4264)  4 O 1.46-1.50
B (0.6485, 0.7196, 0.9264)  4 O 1.46-1.50
B (0.1485, 0.7818, 0.5738)  4 O 1.46-1.50
B (0.3515, 0.2818, 0.0738)  4 O 1.46-1.50
P (0.6324, 0.1089, 0.4668)  4 O 1.54-1.58
P (0.8676, 0.6089, 0.9668)  4 O 1.54-1.58
P (0.3684, 0.8911, 0.5331)  4 O 1.54-1.58
P (0.1316, 0.3911, 0.0331)  4 O 1.54-1.58
P (0.9926, 0.4145, 0.6963)  4 O 1.50-1.59
P (0.5074, 0.9145, 0.1963)  4 O 1.50-1.59
P (0.0083, 0.5850, 0.3054)  4 O 1.50-1.59
P (0.4917, 0.0850, 0.8054)  4 O 1.50-1.59
P (0.9202, 0.1555, 0.7059)  4 O 1.52-1.59
P (0.5798, 0.6555, 0.2059)  4 O 1.52-1.59
P (0.0801, 0.8442, 0.2933)  4 O 1.52-1.59
P (0.4199, 0.3442, 0.7933)  4 O 1.52-1.59
P (0.6734, 0.3756, 0.4417)  4 O 1.51-1.61
P (0.8266, 0.8756, 0.9417)  4 O 1.51-1.61
P (0.3253, 0.6255, 0.5589)  4 O 1.51-1.61
P (0.1747, 0.1255, 0.0589)  4 O 1.51-1.61
P (0.3576, 0.7042, 0.8946)  4 O 1.51-1.60
P (0.1424, 0.2042, 0.3946)  4 O 1.51-1.60
P (0.6413, 0.2955, 0.1049)  4 O 1.51-1.60
P (0.8587, 0.7955, 0.6049)  4 O 1.51-1.60
O (0.2634, 0.6209, 0.8483)  1 P 1.53
O (0.2366, 0.1209, 0.3483)  1 P 1.53
O (0.7384, 0.3767, 0.1525)  1 P 1.53
O (0.7616, 0.8767, 0.6525)  1 P 1.53
O (0.0335, 0.1725, 0.6310)  1 B 1.52, 1 P 1.59
O (0.4665, 0.6725, 0.1310)  1 B 1.52, 1 P 1.59
O (0.9664, 0.8272, 0.3680)  1 B 1.51, 1 P 1.59
O (0.5336, 0.3272, 0.8680)  1 B 1.51, 1 P 1.59
O (0.0628, 0.3361, 0.6169)  1 B 1.48, 1 P 1.59
O (0.4372, 0.8361, 0.1169)  1 B 1.48, 1 P 1.59
O (0.9380, 0.6642, 0.3846)  1 B 1.48, 1 P 1.59
O (0.5620, 0.1642, 0.8846)  1 B 1.48, 1 P 1.59
O (0.8068, 0.3066, 0.4035)  1 B 1.47, 1 P 1.61
O (0.6932, 0.8066, 0.9035)  1 B 1.47, 1 P 1.61
O (0.1909, 0.6941, 0.5963)  1 B 1.47, 1 P 1.61
O (0.3091, 0.1941, 0.0963)  1 B 1.47, 1 P 1.61
O (0.7146, 0.4734, 0.4375)  1 P 1.51
O (0.7854, 0.9734, 0.9375)  1 P 1.51
O (0.2825, 0.5281, 0.5636)  1 P 1.51
O (0.2175, 0.0281, 0.0636)  1 P 1.51
O (0.7382, 0.1451, 0.3996)  1 B 1.50, 1 P 1.58
O (0.7618, 0.6451, 0.8996)  1 B 1.50, 1 P 1.58
O (0.2631, 0.8550, 0.6008)  1 B 1.50, 1 P 1.58
O (0.2369, 0.3550, 0.1008)  1 B 1.50, 1 P 1.58
O (0.3531, 0.7071, 0.0023)  1 B 1.49, 1 P 1.60
O (0.1469, 0.2071, 0.5023)  1 B 1.49, 1 P 1.60
O (0.6464, 0.2949, 0.9976)  1 B 1.49, 1 P 1.60
O (0.8536, 0.7949, 0.4976)  1 B 1.49, 1 P 1.60
O (0.6558, 0.3766, 0.5484)  1 P 1.60
O (0.8442, 0.8766, 0.0484)  1 P 1.60
O (0.3432, 0.6242, 0.4521)  1 P 1.60
O (0.1568, 0.1242, 0.9521)  1 P 1.60
O (0.5357, 0.3386, 0.3897)  1 P 1.52
O (0.9643, 0.8386, 0.8897)  1 P 1.52
O (0.4626, 0.6627, 0.6111)  1 P 1.52
O (0.0374, 0.1627, 0.1111)  1 P 1.52
O (0.8254, 0.3976, 0.6989)  1 P 1.56
O (0.6746, 0.8976, 0.1989)  1 P 1.56
O (0.1750, 0.6032, 0.3011)  1 P 1.56
O (0.3250, 0.1032, 0.8011)  1 P 1.56
O (0.2048, 0.4694, 0.9967)  1 P 1.55
O (0.2952, 0.9694, 0.4967)  1 P 1.55
O (0.7943, 0.5304, 0.0032)  1 P 1.55
O (0.7057, 0.0304, 0.5032)  1 P 1.55
O (0.0013, 0.5735, 0.9070)  1 P 1.54
O (0.4987, 0.0735, 0.4070)  1 P 1.54
O (0.9977, 0.4262, 0.0930)  1 P 1.54
O (0.5023, 0.9262, 0.5930)  1 P 1.54
O (0.8655, 0.0524, 0.6720)  1 P 1.57
O (0.6345, 0.5524, 0.1720)  1 P 1.57
O (0.1348, 0.9471, 0.3271)  1 P 1.57
O (0.3652, 0.4471, 0.8271)  1 P 1.57
O (0.8859, 0.2331, 0.5244)  2 B 1.44-1.46
O (0.6141, 0.7331, 0.0244)  2 B 1.44-1.46
O (0.1145, 0.7686, 0.4757)  2 B 1.44-1.46
O (0.3855, 0.2686, 0.9757)  2 B 1.44-1.46
O (0.9783, 0.1809, 0.3663)  1 B 1.50, 1 P 1.59
O (0.5217, 0.6809, 0.8663)  1 B 1.50, 1 P 1.59
O (0.0221, 0.8211, 0.6337)  1 B 1.50, 1 P 1.59
O (0.4779, 0.3211, 0.1337)  1 B 1.50, 1 P 1.59
O (0.0272, 0.5097, 0.6830)  1 P 1.50
O (0.4728, 0.0097, 0.1830)  1 P 1.50
O (0.9774, 0.4909, 0.3228)  1 P 1.50
O (0.5226, 0.9909, 0.8228)  1 P 1.50
O (0.4996, 0.3354, 0.7022)  1 P 1.52
O (0.0004, 0.8354, 0.2022)  1 P 1.52
O (0.5003, 0.6643, 0.2969)  1 P 1.52
O (0.9997, 0.1643, 0.7969)  1 P 1.52
O (0.3088, 0.7941, 0.8734)  1 P 1.51
O (0.1912, 0.2941, 0.3734)  1 P 1.51
O (0.6846, 0.2031, 0.1227)  1 P 1.51
O (0.8154, 0.7031, 0.6227)  1 P 1.51
O (0.5863, 0.1909, 0.5473)  1 P 1.55
O (0.9137, 0.6909, 0.0473)  1 P 1.55
O (0.4145, 0.8088, 0.4528)  1 P 1.55
O (0.0855, 0.3088, 0.9528)  1 P 1.55
O (0.7934, 0.2242, 0.7118)  1 P 1.54
O (0.7066, 0.7242, 0.2118)  1 P 1.54
O (0.2066, 0.7755, 0.2876)  1 P 1.53
O (0.2934, 0.2755, 0.7876)  1 P 1.53
O (0.0600, 0.4009, 0.7890)  1 P 1.57
O (0.4400, 0.9009, 0.2890)  1 P 1.57
O (0.9388, 0.5965, 0.2129)  1 P 1.57
O (0.5612, 0.0965, 0.7129)  1 P 1.57

The following is a PBE+U calculation of an optimized crystal structure of La7V2BO17, from the Materials Project database.

Values from the calculation:
- ρ (kg/m3) = 5391
- calculated volume (Å³ per atom) = 15.48
- energy of formation from the pure elements (eV per atom) = -3.5096

Cell: 18.4184 7.1045 13.9009 Å, 66.81 90.00 90.00°
With the nearest neighbours (Å) after each atom.
Positions (direct):
La (0.7233, 0.7987, 0.1791)  7 O 2.35-2.58
La (0.2767, 0.2013, 0.8209)  7 O 2.35-2.58
La (0.2233, 0.2013, 0.3209)  7 O 2.35-2.58
La (0.7767, 0.7987, 0.6791)  7 O 2.35-2.58
La (0.8689, 0.7804, 0.4366)  3 O 2.29-2.49
La (0.1311, 0.2196, 0.5634)  3 O 2.29-2.49
La (0.3689, 0.2196, 0.0634)  3 O 2.29-2.49
La (0.6311, 0.7804, 0.9366)  3 O 2.29-2.49
La (0.6074, 0.3063, 0.1975)  6 O 2.39-2.59
La (0.3926, 0.6937, 0.8025)  6 O 2.39-2.59
La (0.1074, 0.6937, 0.3025)  6 O 2.39-2.59
La (0.8926, 0.3063, 0.6975)  6 O 2.39-2.59
La (0.2735, 0.7111, 0.0963)  4 O 2.36-2.54
La (0.7265, 0.2889, 0.9037)  4 O 2.36-2.54
La (0.7735, 0.2889, 0.4037)  4 O 2.36-2.54
La (0.2265, 0.7111, 0.5963)  4 O 2.36-2.54
La (0.4468, 0.7090, 0.5147)  4 O 2.26-2.53
La (0.5532, 0.2910, 0.4853)  4 O 2.26-2.53
La (0.9468, 0.2910, 0.9853)  4 O 2.26-2.53
La (0.0532, 0.7090, 0.0147)  4 O 2.26-2.53
La (0.5198, 0.7975, 0.2094)  6 O 2.37-2.57
La (0.4802, 0.2025, 0.7906)  6 O 2.37-2.57
La (0.0198, 0.2025, 0.2906)  6 O 2.37-2.57
La (0.9802, 0.7975, 0.7094)  6 O 2.37-2.57
La (0.6548, 0.8135, 0.4261)  6 O 2.34-2.60
La (0.3452, 0.1865, 0.5739)  6 O 2.34-2.60
La (0.1548, 0.1865, 0.0739)  6 O 2.34-2.60
La (0.8452, 0.8135, 0.9261)  6 O 2.34-2.60
V (0.8025, 0.2896, 0.1634)  4 O 1.72-1.76
V (0.1975, 0.7104, 0.8366)  4 O 1.72-1.76
V (0.3025, 0.7104, 0.3366)  4 O 1.72-1.76
V (0.6975, 0.2896, 0.6634)  4 O 1.72-1.76
V (0.9369, 0.7791, 0.1833)  4 O 1.71-1.76
V (0.0631, 0.2209, 0.8167)  4 O 1.71-1.76
V (0.4369, 0.2209, 0.3167)  4 O 1.71-1.76
V (0.5631, 0.7791, 0.6833)  4 O 1.71-1.76
B (0.4308, 0.7484, 0.0010)  3 O 1.38-1.43
B (0.5692, 0.2516, 0.9990)  3 O 1.38-1.43
B (0.9308, 0.2516, 0.4990)  3 O 1.38-1.43
B (0.0692, 0.7484, 0.5010)  3 O 1.38-1.43
O (0.8724, 0.4390, 0.0893)  1 V 1.73
O (0.1276, 0.5610, 0.9107)  1 V 1.73
O (0.3724, 0.5610, 0.4107)  1 V 1.73
O (0.6276, 0.4390, 0.5893)  1 V 1.73
O (0.3792, 0.5980, 0.0012)  1 B 1.43
O (0.6208, 0.4020, 0.9988)  1 B 1.43
O (0.8792, 0.4020, 0.4988)  1 B 1.43
O (0.1208, 0.5980, 0.5012)  1 B 1.43
O (0.7685, 0.9002, 0.4917)  4 La 2.29-2.54
O (0.2315, 0.0998, 0.5083)  4 La 2.29-2.54
O (0.2685, 0.0998, 0.0083)  4 La 2.29-2.54
O (0.7315, 0.9002, 0.9917)  4 La 2.29-2.54
O (0.6319, 0.9512, 0.2418)  4 La 2.35-2.46
O (0.3681, 0.0488, 0.7582)  4 La 2.35-2.46
O (0.1319, 0.0488, 0.2582)  4 La 2.35-2.46
O (0.8681, 0.9512, 0.7418)  4 La 2.35-2.46
O (0.9354, 0.8696, 0.0461)  1 V 1.76
O (0.0646, 0.1304, 0.9539)  1 V 1.76
O (0.4354, 0.1304, 0.4539)  1 V 1.76
O (0.5646, 0.8696, 0.5461)  1 V 1.76
O (0.8550, 0.7059, 0.2443)  1 V 1.71
O (0.1450, 0.2941, 0.7557)  1 V 1.71
O (0.3550, 0.2941, 0.2557)  1 V 1.71
O (0.6450, 0.7059, 0.7443)  1 V 1.71
O (0.1448, 0.7953, 0.1204)  4 La 2.44-2.60
O (0.8552, 0.2047, 0.8796)  4 La 2.44-2.60
O (0.6448, 0.2047, 0.3796)  4 La 2.44-2.60
O (0.3552, 0.7953, 0.6204)  4 La 2.44-2.60
O (0.7388, 0.4342, 0.2000)  1 V 1.76
O (0.2612, 0.5658, 0.8000)  1 V 1.76
O (0.2388, 0.5658, 0.3000)  1 V 1.76
O (0.7612, 0.4342, 0.7000)  1 V 1.76
O (0.5423, 0.6351, 0.4032)  4 La 2.26-2.53
O (0.4577, 0.3649, 0.5968)  4 La 2.26-2.53
O (0.0423, 0.3649, 0.0968)  4 La 2.26-2.53
O (0.9577, 0.6351, 0.9032)  4 La 2.26-2.53
O (0.0033, 0.5857, 0.2257)  1 V 1.76
O (0.9967, 0.4143, 0.7743)  1 V 1.76
O (0.5033, 0.4143, 0.2743)  1 V 1.76
O (0.4967, 0.5857, 0.7257)  1 V 1.76
O (0.3301, 0.8910, 0.2181)  1 V 1.72
O (0.6699, 0.1090, 0.7819)  1 V 1.72
O (0.8301, 0.1090, 0.2819)  1 V 1.72
O (0.1699, 0.8910, 0.7181)  1 V 1.72
O (0.6100, 0.6807, 0.1246)  4 La 2.37-2.48
O (0.3900, 0.3193, 0.8754)  4 La 2.37-2.48
O (0.1100, 0.3193, 0.3754)  4 La 2.37-2.48
O (0.8900, 0.6807, 0.6246)  4 La 2.37-2.48
O (0.9703, 0.9836, 0.2058)  1 V 1.72
O (0.0297, 0.0164, 0.7942)  1 V 1.72
O (0.4703, 0.0164, 0.2942)  1 V 1.72
O (0.5297, 0.9836, 0.7058)  1 V 1.72
O (0.4202, 0.8359, 0.0729)  1 B 1.38
O (0.5798, 0.1641, 0.9271)  1 B 1.38
O (0.9202, 0.1641, 0.4271)  1 B 1.38
O (0.0798, 0.8359, 0.5729)  1 B 1.38
O (0.5164, 0.1952, 0.0772)  1 B 1.40
O (0.4836, 0.8048, 0.9228)  1 B 1.40
O (0.0164, 0.8048, 0.4228)  1 B 1.40
O (0.9836, 0.1952, 0.5772)  1 B 1.40
O (0.7397, 0.6276, 0.3743)  3 La 2.34-2.52
O (0.2603, 0.3724, 0.6257)  3 La 2.34-2.52
O (0.2397, 0.3724, 0.1257)  3 La 2.34-2.52
O (0.7603, 0.6276, 0.8743)  3 La 2.34-2.52
O (0.2611, 0.8335, 0.4082)  1 V 1.74
O (0.7389, 0.1665, 0.5918)  1 V 1.74
O (0.7611, 0.1665, 0.0918)  1 V 1.74
O (0.2389, 0.8335, 0.9082)  1 V 1.74